Record 1
Material: Mg10TiSnB4O20
Method: DFT, GGA-PBE
State: optimized geometry

Cell: 6.151 9.892 12.834 Å, 85.62 76.39 71.97°
Space group P-1 (No. 2)
Unique sites:
Mg 0.061 0.261 0.118
Mg 0.103 0.000 0.783
Mg 0.108 0.495 0.281
Mg 0.172 0.764 0.380
Mg 0.240 0.999 0.501
Mg 0.243 0.512 0.502
Mg 0.246 0.005 0.001
Mg 0.248 0.500 0.000
Mg 0.393 0.000 0.218
Mg 0.401 0.505 0.719
Ti 0.436 0.739 0.887
Sn 0.327 0.240 0.616
B 0.039 0.779 0.642
B 0.181 0.277 0.863
B 0.314 0.728 0.140
B 0.456 0.231 0.359
O 0.028 0.387 0.578
O 0.049 0.851 0.544
O 0.050 0.145 0.262
O 0.094 0.353 0.958
O 0.109 0.883 0.923
O 0.118 0.630 0.646
O 0.136 0.102 0.644
O 0.197 0.356 0.766
O 0.243 0.875 0.142
O 0.253 0.130 0.858
O 0.253 0.389 0.142
O 0.284 0.610 0.858
O 0.301 0.649 0.234
O 0.372 0.898 0.357
O 0.375 0.377 0.360
O 0.402 0.654 0.041
O 0.420 0.117 0.076
O 0.454 0.149 0.454
O 0.455 0.843 0.739
O 0.486 0.612 0.422

Output
magnetization	0.00	μB/cell
formation enthalpy at 0 K	-3024	meV per atom
calculated volume	10.02	Å³ per atom
crystal system	triclinic

=====

Record 2
Material: Th4MgB8O20
Method: DFT, GGA-PBE
State: optimized geometry

Cell: 11.588 7.195 10.268 Å, 90.00 102.02 90.00°
Space group C2 (No. 5)
Unique sites:
Th 0.172 0.000 0.052
Th 0.186 0.593 0.560
Mg 0.000 0.337 0.000
B 0.020 0.024 0.247
B 0.024 0.573 0.751
B 0.137 0.095 0.609
B 0.157 0.529 0.127
O 0.026 0.610 0.379
O 0.027 0.914 0.862
O 0.043 0.109 0.670
O 0.043 0.525 0.155
O 0.141 0.052 0.274
O 0.145 0.557 0.786
O 0.182 0.254 0.562
O 0.188 0.364 0.075
O 0.189 0.930 0.584
O 0.219 0.685 0.113

Output
magnetization	0.03	μB/cell
formation enthalpy at 0 K	-3223	meV per atom
calculated volume	12.69	Å³ per atom
crystal system	monoclinic

=====

Record 3
Material: Mg5TiB2O10
Method: DFT, GGA-PBE
State: optimized geometry

Cell: 3.047 9.390 12.468 Å, 90.00 90.00 90.00°
Space group Pmc2_1 (No. 26)
Unique sites:
Mg 0.000 0.014 0.000
Mg 0.000 0.235 0.387
Mg 0.500 0.234 0.162
Mg 0.500 0.235 0.887
Mg 0.500 0.239 0.597
Ti 0.000 0.490 0.767
B 0.000 0.027 0.742
B 0.000 0.479 0.023
O 0.000 0.103 0.647
O 0.000 0.103 0.837
O 0.000 0.124 0.241
O 0.000 0.376 0.526
O 0.000 0.405 0.122
O 0.000 0.406 0.923
O 0.500 0.139 0.457
O 0.500 0.148 0.026
O 0.500 0.365 0.738
O 0.500 0.377 0.304

Output
magnetization	0.00	μB/cell
formation enthalpy at 0 K	-3074	meV per atom
calculated volume	9.91	Å³ per atom
crystal system	orthorhombic

=====

Record 4
Material: Mg14TiBO16
Method: DFT, GGA-PBE
State: optimized geometry

Cell: 8.572 8.572 4.246 Å, 90.00 90.00 90.00°
Space group P4/mmm (No. 123)
Unique sites:
Mg 0.000 0.246 0.000
Mg 0.000 0.500 0.500
Mg 0.243 0.243 0.500
Mg 0.246 0.500 0.000
Ti 0.500 0.500 0.500
B 0.000 0.000 0.500
O 0.000 0.000 0.000
O 0.000 0.264 0.500
O 0.000 0.500 0.000
O 0.250 0.250 0.000
O 0.255 0.500 0.500
O 0.500 0.500 0.000

Output
magnetization	1.00	μB/cell
formation enthalpy at 0 K	-2784	meV per atom
calculated volume	9.75	Å³ per atom
energy above the most stable polymorph in this dataset	5.8	meV per atom
crystal system	tetragonal

=====

Record 5
Material: Mg6TiBO8
Method: DFT, GGA-PBE
State: optimized geometry

Cell: 4.230 4.230 8.737 Å, 90.00 90.00 90.00°
Space group P4/mmm (No. 123)
Unique sites:
Mg 0.000 0.000 0.000
Mg 0.000 0.500 0.250
Mg 0.500 0.500 0.000
Ti 0.000 0.000 0.500
B 0.500 0.500 0.500
O 0.000 0.000 0.255
O 0.000 0.500 0.000
O 0.000 0.500 0.500
O 0.500 0.500 0.236

Output
magnetization	1.22	μB/cell
formation enthalpy at 0 K	-2538	meV per atom
calculated volume	9.77	Å³ per atom
energy above the most stable polymorph in this dataset	0.0	meV per atom
crystal system	tetragonal

=====

Record 6
Material: Mg2TiBO5
Method: DFT, GGA-PBE
State: optimized geometry

Cell: 9.388 12.476 3.051 Å, 90.00 90.00 90.00°
Space group Pbam (No. 55)
Unique sites:
Mg 0.000 0.000 0.000
Mg 0.000 0.500 0.500
Mg 0.003 0.218 0.500
Ti 0.240 0.385 0.000
B 0.226 0.640 0.000
O 0.106 0.357 0.500
O 0.116 0.923 0.500
O 0.127 0.142 0.000
O 0.149 0.543 0.000
O 0.150 0.736 0.000

Output
magnetization	4.00	μB/cell
formation enthalpy at 0 K	-3094	meV per atom
calculated volume	9.93	Å³ per atom
crystal system	orthorhombic

=====

Record 7
Material: Mg14TiBO16
Method: DFT, GGA-PBE
State: optimized geometry

Cell: 4.247 8.580 8.604 Å, 90.00 90.00 90.00°
Space group Pmmm (No. 47)
Unique sites:
Mg 0.000 0.000 0.000
Mg 0.000 0.000 0.500
Mg 0.000 0.250 0.243
Mg 0.500 0.000 0.248
Mg 0.500 0.247 0.500
Mg 0.500 0.254 0.000
Mg 0.500 0.500 0.240
Ti 0.000 0.500 0.500
B 0.000 0.500 0.000
O 0.000 0.000 0.254
O 0.000 0.235 0.000
O 0.000 0.252 0.500
O 0.000 0.500 0.269
O 0.500 0.000 0.000
O 0.500 0.000 0.500
O 0.500 0.252 0.251
O 0.500 0.500 0.000
O 0.500 0.500 0.500

Output
magnetization	1.00	μB/cell
formation enthalpy at 0 K	-2790	meV per atom
calculated volume	9.80	Å³ per atom
energy above the most stable polymorph in this dataset	0.0	meV per atom
crystal system	orthorhombic

=====

Record 8
Material: Mg6TiBO8
Method: DFT, GGA-PBE
State: optimized geometry

Cell: 4.236 4.236 8.766 Å, 90.00 90.00 90.00°
Space group P4/mmm (No. 123)
Unique sites:
Mg 0.000 0.000 0.000
Mg 0.000 0.000 0.500
Mg 0.000 0.500 0.237
Ti 0.500 0.500 0.500
B 0.500 0.500 0.000
O 0.000 0.000 0.250
O 0.000 0.500 0.000
O 0.000 0.500 0.500
O 0.500 0.500 0.267

Output
magnetization	1.18	μB/cell
formation enthalpy at 0 K	-2535	meV per atom
calculated volume	9.83	Å³ per atom
energy above the most stable polymorph in this dataset	2.9	meV per atom
crystal system	tetragonal

=====

- Which of these has the highest magnetization?
  Mg2TiBO5